Material: Li5Mn2CoO8
Method: DFT, GGA+U
State: relaxed

Output
- Excess energy over the best structure of this formula in the dataset: 0.24 eV/f.u.
- Crystal system: monoclinic
- Energy of formation from the pure elements: -32.30 eV per formula unit
- SG: No. 10

Cell: 9.7967 2.8790 10.1197 Å, 90.00 100.76 90.00°
Closest atoms and distances in Å follow each position.
Atoms (fractional coordinates):
Li 0.0000 0.0000 0.0000  6 O 2.06-2.11
Li 0.2433 0.5000 0.1095  5 O 2.02-2.25
Li 0.2454 0.0000 0.3751  6 O 2.05-2.17
Li 0.2540 0.5000 0.6234  6 O 2.04-2.18
Li 0.2551 0.0000 0.8880  4 O 2.02-2.19
Li 0.5000 0.5000 0.0000  6 O 2.09-2.12
Li 0.7449 0.0000 0.1120  4 O 2.02-2.19
Li 0.7460 0.5000 0.3766  6 O 2.04-2.18
Li 0.7546 0.0000 0.6249  6 O 2.05-2.17
Li 0.7567 0.5000 0.8905  5 O 2.02-2.25
Mn 0.0069 0.5000 0.7593  5 O 1.82-1.98
Mn 0.4940 0.0000 0.2453  5 O 1.82-1.98
Mn 0.5060 0.0000 0.7547  5 O 1.82-1.98
Mn 0.9931 0.5000 0.2407  5 O 1.82-1.98
Co 0.0000 0.0000 0.5000  6 O 2.02-2.05
Co 0.5000 0.5000 0.5000  6 O 1.94-1.95
O 0.1067 0.0000 0.1957  2 Mn 1.93, 2 Li 2.05-2.06
O 0.1138 0.5000 0.4317  2 Co 2.02, 1 Mn 2.07, 3 Li 2.08-2.16
O 0.1146 0.0000 0.6918  2 Mn 1.98, 1 Co 2.05, 3 Li 2.18-2.19
O 0.1215 0.5000 0.9234  1 Mn 1.82, 3 Li 2.02-2.03
O 0.3790 0.0000 0.0811  1 Mn 1.82, 2 Li 2.02
O 0.3906 0.5000 0.3188  1 Co 1.94, 2 Mn 1.98, 2 Li 2.17
O 0.3930 0.5000 0.8004  2 Mn 1.92, 2 Li 2.04-2.09
O 0.3937 0.0000 0.5623  2 Co 1.95, 1 Mn 2.05, 3 Li 2.16
O 0.6063 0.0000 0.4377  2 Co 1.95, 1 Mn 2.05, 3 Li 2.16
O 0.6070 0.5000 0.1996  2 Mn 1.92, 2 Li 2.04-2.09
O 0.6094 0.5000 0.6812  1 Co 1.94, 2 Mn 1.98, 2 Li 2.17
O 0.6210 0.0000 0.9189  1 Mn 1.82, 2 Li 2.02
O 0.8785 0.5000 0.0766  1 Mn 1.82, 3 Li 2.02-2.03
O 0.8854 0.0000 0.3082  2 Mn 1.98, 1 Co 2.05, 3 Li 2.18-2.19
O 0.8862 0.5000 0.5683  2 Co 2.02, 1 Mn 2.07, 3 Li 2.08-2.16
O 0.8933 0.0000 0.8043  2 Mn 1.93, 2 Li 2.05-2.06